# PBE+U Li4Co3Ni3P6O24, relaxed
# * E_tot: -6.354 eV/atom
# * magnetic moment: 9.0 μB per formula unit
# * formation enthalpy at 0 K: -2.14 eV/atom
data_Li4Co3Ni3P6O24
_chemical_formula_sum 'Li4 Co3 Ni3 P6 O24'
_space_group_name_H-M_alt 'P 1'
_space_group_IT_number 1
_space_group_name_Hall 'P 1'
_cell_length_a 8.299
_cell_length_b 8.414
_cell_length_c 8.417
_cell_angle_alpha 62.83
_cell_angle_beta 63.45
_cell_angle_gamma 63.42
loop_
_atom_site_label
_atom_site_type_symbol
_atom_site_fract_x
_atom_site_fract_y
_atom_site_fract_z
Li1 Li 0.000 0.000 0.000
Li2 Li 0.100 0.502 0.886
Li3 Li 0.487 0.710 0.294
Li4 Li 0.892 0.095 0.500
Co1 Co 0.257 0.856 0.644
Co2 Co 0.737 0.362 0.145
Co3 Co 0.891 0.501 0.293
Ni1 Ni 0.102 0.709 0.500
Ni2 Ni 0.390 0.002 0.790
Ni3 Ni 0.606 0.212 0.001
P1 P 0.195 0.109 0.191
P2 P 0.300 0.605 0.099
P3 P 0.501 0.404 0.601
P4 P 0.695 0.906 0.399
P5 P 0.802 0.814 0.900
P6 P 0.997 0.309 0.696
O1 O 0.001 0.785 0.743
O2 O 0.067 0.462 0.671
O3 O 0.137 0.533 0.141
O4 O 0.144 0.108 0.716
O5 O 0.180 0.953 0.391
O6 O 0.202 0.046 0.044
O7 O 0.275 0.672 0.253
O8 O 0.295 0.768 0.909
O9 O 0.347 0.604 0.577
O10 O 0.360 0.170 0.142
O11 O 0.433 0.251 0.630
O12 O 0.497 0.455 0.074
O13 O 0.498 0.923 0.549
O14 O 0.570 0.368 0.755
O15 O 0.638 0.857 0.840
O16 O 0.657 0.430 0.397
O17 O 0.693 0.097 0.236
O18 O 0.733 0.744 0.333
O19 O 0.789 0.962 0.965
O20 O 0.820 0.611 0.057
O21 O 0.849 0.284 0.897
O22 O 0.850 0.879 0.469
O23 O 0.929 0.347 0.535
O24 O 0.993 0.267 0.222